Arrangement A

{"formula": "MnAl2P2H20O16", "functional": "GGA+U", "state": "optimized geometry", "lattice": [[7.084, 0.000, 0.000], [-3.534, 9.781, 0.000], [-0.030, -3.555, 10.056]], "species": ["Mn", "Mn", "Al", "Al", "Al", "Al", "P", "P", "P", "P", "H", "H", "H", "H", "H", "H", "H", "H", "H", "H", "H", "H", "H", "H", "H", "H", "H", "H", "H", "H", "H", "H", "H", "H", "H", "H", "H", "H", "H", "H", "H", "H", "H", "H", "H", "H", "H", "H", "H", "H", "O", "O", "O", "O", "O", "O", "O", "O", "O", "O", "O", "O", "O", "O", "O", "O", "O", "O", "O", "O", "O", "O", "O", "O", "O", "O", "O", "O", "O", "O", "O", "O"], "frac_coords": [[0.128, 0.278, 0.011], [0.872, 0.722, 0.989], [0.000, 0.500, 0.500], [0.240, 0.250, 0.502], [0.500, 0.000, 0.500], [0.760, 0.750, 0.498], [0.066, 0.909, 0.319], [0.363, 0.454, 0.326], [0.637, 0.546, 0.674], [0.934, 0.091, 0.681], [0.073, 0.165, 0.219], [0.073, 0.716, 0.444], [0.099, 0.950, 0.897], [0.142, 0.530, 0.911], [0.150, 0.624, 0.748], [0.185, 0.952, 0.631], [0.216, 0.333, 0.785], [0.218, 0.685, 0.015], [0.287, 0.546, 0.655], [0.332, 0.875, 0.658], [0.349, 0.609, 0.150], [0.350, 0.885, 0.118], [0.378, 0.114, 0.884], [0.392, 0.688, 0.158], [0.393, 0.858, 0.165], [0.394, 0.139, 0.038], [0.404, 0.471, 0.871], [0.423, 0.739, 0.443], [0.479, 0.177, 0.215], [0.497, 0.110, 0.171], [0.503, 0.890, 0.829], [0.521, 0.823, 0.785], [0.577, 0.261, 0.557], [0.596, 0.529, 0.129], [0.606, 0.861, 0.962], [0.607, 0.142, 0.835], [0.608, 0.312, 0.842], [0.622, 0.886, 0.116], [0.650, 0.115, 0.882], [0.651, 0.391, 0.850], [0.668, 0.125, 0.342], [0.713, 0.454, 0.345], [0.782, 0.315, 0.985], [0.784, 0.667, 0.215], [0.815, 0.048, 0.369], [0.850, 0.376, 0.252], [0.858, 0.470, 0.089], [0.901, 0.050, 0.103], [0.927, 0.284, 0.556], [0.927, 0.835, 0.781], [0.015, 0.847, 0.859], [0.025, 0.326, 0.502], [0.052, 0.873, 0.167], [0.062, 0.065, 0.384], [0.116, 0.624, 0.938], [0.131, 0.201, 0.654], [0.200, 0.607, 0.660], [0.217, 0.531, 0.391], [0.255, 0.895, 0.379], [0.263, 0.411, 0.877], [0.302, 0.123, 0.961], [0.322, 0.309, 0.352], [0.333, 0.966, 0.648], [0.347, 0.420, 0.173], [0.414, 0.441, 0.620], [0.454, 0.175, 0.516], [0.546, 0.825, 0.484], [0.586, 0.559, 0.380], [0.653, 0.580, 0.827], [0.667, 0.034, 0.352], [0.678, 0.691, 0.648], [0.698, 0.877, 0.039], [0.737, 0.589, 0.123], [0.745, 0.105, 0.621], [0.783, 0.469, 0.609], [0.800, 0.393, 0.340], [0.869, 0.799, 0.346], [0.884, 0.376, 0.062], [0.938, 0.935, 0.616], [0.948, 0.127, 0.833], [0.975, 0.674, 0.498], [0.985, 0.153, 0.141]], "m_tot_mub_per_cell": 10.00, "volume_a3_per_atom": 8.5}

=====

Arrangement B

{"formula": "MnAl2P2H20O16", "functional": "GGA+U", "state": "optimized geometry", "lattice": [[7.017, 0.000, 0.000], [3.484, 9.751, 0.000], [0.098, 3.450, 10.166]], "species": ["Mn", "Mn", "Al", "Al", "Al", "Al", "P", "P", "P", "P", "H", "H", "H", "H", "H", "H", "H", "H", "H", "H", "H", "H", "H", "H", "H", "H", "H", "H", "H", "H", "H", "H", "H", "H", "H", "H", "H", "H", "H", "H", "H", "H", "H", "H", "H", "H", "H", "H", "H", "H", "O", "O", "O", "O", "O", "O", "O", "O", "O", "O", "O", "O", "O", "O", "O", "O", "O", "O", "O", "O", "O", "O", "O", "O", "O", "O", "O", "O", "O", "O", "O", "O"], "frac_coords": [[0.145, 0.228, 0.009], [0.855, 0.772, 0.991], [0.010, 0.248, 0.503], [0.500, 0.000, 0.500], [0.500, 0.500, 0.500], [0.990, 0.752, 0.497], [0.096, 0.042, 0.329], [0.152, 0.411, 0.676], [0.848, 0.589, 0.324], [0.904, 0.958, 0.671], [0.056, 0.036, 0.880], [0.093, 0.347, 0.220], [0.106, 0.169, 0.785], [0.173, 0.452, 0.110], [0.228, 0.910, 0.126], [0.238, 0.462, 0.360], [0.271, 0.950, 0.669], [0.277, 0.625, 0.970], [0.280, 0.657, 0.105], [0.309, 0.689, 0.756], [0.322, 0.761, 0.468], [0.331, 0.612, 0.805], [0.335, 0.462, 0.899], [0.353, 0.784, 0.185], [0.360, 0.222, 0.549], [0.409, 0.967, 0.904], [0.442, 0.707, 0.215], [0.457, 0.417, 0.308], [0.458, 0.834, 0.027], [0.496, 0.854, 0.748], [0.504, 0.146, 0.252], [0.542, 0.166, 0.973], [0.543, 0.583, 0.692], [0.558, 0.293, 0.785], [0.591, 0.033, 0.096], [0.640, 0.778, 0.451], [0.647, 0.216, 0.815], [0.665, 0.538, 0.101], [0.669, 0.388, 0.195], [0.678, 0.239, 0.532], [0.691, 0.311, 0.244], [0.720, 0.343, 0.895], [0.723, 0.375, 0.030], [0.729, 0.050, 0.331], [0.762, 0.538, 0.640], [0.772, 0.090, 0.874], [0.827, 0.548, 0.890], [0.894, 0.831, 0.215], [0.907, 0.653, 0.780], [0.944, 0.964, 0.120], [0.008, 0.433, 0.379], [0.008, 0.815, 0.641], [0.030, 0.060, 0.627], [0.057, 0.303, 0.652], [0.093, 0.080, 0.177], [0.143, 0.095, 0.877], [0.167, 0.354, 0.141], [0.199, 0.636, 0.045], [0.200, 0.367, 0.827], [0.282, 0.675, 0.494], [0.301, 0.173, 0.503], [0.315, 0.962, 0.401], [0.348, 0.397, 0.605], [0.363, 0.489, 0.343], [0.415, 0.889, 0.663], [0.486, 0.130, 0.055], [0.514, 0.870, 0.945], [0.585, 0.111, 0.337], [0.637, 0.511, 0.657], [0.652, 0.603, 0.395], [0.685, 0.038, 0.599], [0.699, 0.827, 0.497], [0.718, 0.325, 0.506], [0.800, 0.633, 0.173], [0.801, 0.364, 0.955], [0.833, 0.646, 0.859], [0.857, 0.905, 0.123], [0.907, 0.920, 0.823], [0.943, 0.697, 0.348], [0.970, 0.940, 0.373], [0.992, 0.185, 0.359], [0.992, 0.567, 0.621]], "m_tot_mub_per_cell": 14.00, "volume_a3_per_atom": 8.5}

=====

Quick look at relative energies in eV/atom: arrangement A 0.000; arrangement B 0.114.

=====

Arrangement A

{"formula": "Li2AlVO4", "functional": "GGA+U", "state": "optimized geometry", "lattice": [[7.755, 0.000, 0.000], [-2.823, 7.243, 0.000], [-0.715, -1.452, 7.640]], "species": ["Li", "Li", "Li", "Li", "Li", "Li", "Li", "Li", "Li", "Li", "Li", "Li", "Al", "Al", "Al", "Al", "Al", "Al", "V", "V", "V", "V", "V", "V", "O", "O", "O", "O", "O", "O", "O", "O", "O", "O", "O", "O", "O", "O", "O", "O", "O", "O", "O", "O", "O", "O", "O", "O"], "frac_coords": [[0.000, 0.000, 0.000], [0.000, 0.239, 0.758], [0.000, 0.499, 0.500], [0.000, 0.740, 0.258], [0.333, 0.326, 0.005], [0.334, 0.569, 0.763], [0.334, 0.827, 0.504], [0.335, 0.068, 0.263], [0.662, 0.151, 0.510], [0.662, 0.652, 0.011], [0.672, 0.415, 0.252], [0.672, 0.915, 0.753], [0.000, 0.869, 0.627], [0.334, 0.199, 0.637], [0.335, 0.698, 0.136], [0.667, 0.284, 0.882], [0.667, 0.784, 0.382], [0.999, 0.369, 0.127], [0.002, 0.120, 0.382], [0.002, 0.619, 0.882], [0.332, 0.448, 0.381], [0.332, 0.948, 0.881], [0.667, 0.033, 0.131], [0.667, 0.533, 0.632], [0.154, 0.231, 0.193], [0.155, 0.732, 0.693], [0.164, 0.483, 0.966], [0.165, 0.982, 0.465], [0.168, 0.085, 0.797], [0.169, 0.585, 0.297], [0.180, 0.336, 0.570], [0.181, 0.837, 0.069], [0.487, 0.302, 0.461], [0.488, 0.801, 0.961], [0.497, 0.073, 0.707], [0.498, 0.573, 0.207], [0.503, 0.408, 0.812], [0.503, 0.908, 0.312], [0.512, 0.177, 0.055], [0.512, 0.677, 0.555], [0.822, 0.390, 0.709], [0.822, 0.890, 0.209], [0.831, 0.159, 0.951], [0.831, 0.659, 0.452], [0.835, 0.495, 0.057], [0.836, 0.994, 0.556], [0.847, 0.265, 0.302], [0.848, 0.765, 0.803]], "m_tot_mub_per_cell": 0.00, "volume_a3_per_atom": 8.9}

=====

Arrangement B

{"formula": "Li2AlVO4", "functional": "GGA+U", "state": "optimized geometry", "lattice": [[11.070, 0.000, 0.000], [0.000, 5.088, 0.000], [0.000, 0.000, 6.491]], "species": ["Li", "Li", "Li", "Li", "Li", "Li", "Li", "Li", "Al", "Al", "Al", "Al", "V", "V", "V", "V", "O", "O", "O", "O", "O", "O", "O", "O", "O", "O", "O", "O", "O", "O", "O", "O"], "frac_coords": [[0.081, 0.244, 0.000], [0.164, 0.691, 0.248], [0.336, 0.191, 0.748], [0.419, 0.744, 0.500], [0.581, 0.256, 0.000], [0.664, 0.809, 0.248], [0.836, 0.309, 0.748], [0.919, 0.756, 0.500], [0.085, 0.184, 0.497], [0.415, 0.684, 0.997], [0.585, 0.316, 0.497], [0.915, 0.816, 0.997], [0.168, 0.688, 0.751], [0.332, 0.188, 0.251], [0.668, 0.812, 0.751], [0.832, 0.312, 0.251], [0.071, 0.747, 0.992], [0.095, 0.833, 0.506], [0.159, 0.304, 0.724], [0.163, 0.294, 0.272], [0.337, 0.794, 0.772], [0.341, 0.804, 0.224], [0.405, 0.333, 0.006], [0.429, 0.247, 0.492], [0.571, 0.753, 0.992], [0.595, 0.667, 0.506], [0.659, 0.196, 0.724], [0.663, 0.206, 0.272], [0.837, 0.706, 0.772], [0.841, 0.696, 0.224], [0.905, 0.167, 0.006], [0.929, 0.253, 0.492]], "m_tot_mub_per_cell": 8.00, "volume_a3_per_atom": 11.4}

=====

Quick look at relative energies in eV/atom: arrangement A 0.000; arrangement B 0.068.

=====

Arrangement A

{"formula": "Li2AlVO4", "functional": "GGA+U", "state": "optimized geometry", "lattice": [[5.125, 0.000, 0.000], [0.000, 11.035, 0.000], [-5.088, 0.000, 6.471]], "species": ["Li", "Li", "Li", "Li", "Li", "Li", "Li", "Li", "Al", "Al", "Al", "Al", "V", "V", "V", "V", "O", "O", "O", "O", "O", "O", "O", "O", "O", "O", "O", "O", "O", "O", "O", "O"], "frac_coords": [[0.035, 0.077, 0.238], [0.035, 0.423, 0.738], [0.184, 0.164, 0.994], [0.184, 0.336, 0.494], [0.816, 0.664, 0.506], [0.816, 0.836, 0.006], [0.965, 0.577, 0.262], [0.965, 0.923, 0.762], [0.433, 0.086, 0.746], [0.433, 0.414, 0.246], [0.567, 0.586, 0.754], [0.567, 0.914, 0.254], [0.316, 0.666, 0.004], [0.316, 0.834, 0.504], [0.684, 0.166, 0.496], [0.684, 0.334, 0.996], [0.076, 0.090, 0.738], [0.076, 0.410, 0.238], [0.238, 0.666, 0.530], [0.238, 0.834, 0.030], [0.325, 0.162, 0.520], [0.325, 0.338, 0.020], [0.456, 0.067, 0.249], [0.456, 0.433, 0.749], [0.544, 0.567, 0.251], [0.544, 0.933, 0.751], [0.675, 0.662, 0.980], [0.675, 0.838, 0.480], [0.762, 0.166, 0.970], [0.762, 0.334, 0.470], [0.924, 0.590, 0.762], [0.924, 0.910, 0.262]], "m_tot_mub_per_cell": 8.00, "volume_a3_per_atom": 11.4}

=====

Arrangement B

{"formula": "Li2AlVO4", "functional": "GGA+U", "state": "optimized geometry", "lattice": [[4.975, 0.000, 0.000], [0.000, 5.551, 0.000], [-4.970, 0.000, 6.479]], "species": ["Li", "Li", "Li", "Li", "Al", "Al", "V", "V", "O", "O", "O", "O", "O", "O", "O", "O"], "frac_coords": [[0.000, 0.159, 0.000], [0.000, 0.841, 0.500], [0.748, 0.324, 0.247], [0.748, 0.676, 0.747], [0.506, 0.168, 0.498], [0.506, 0.832, 0.998], [0.254, 0.335, 0.753], [0.254, 0.665, 0.253], [0.177, 0.327, 0.272], [0.177, 0.673, 0.772], [0.396, 0.139, 0.990], [0.396, 0.861, 0.490], [0.620, 0.318, 0.726], [0.620, 0.682, 0.226], [0.874, 0.182, 0.507], [0.874, 0.818, 0.007]], "m_tot_mub_per_cell": 0.00, "volume_a3_per_atom": 11.2}

=====

Arrangement C

{"formula": "Li2AlVO4", "functional": "GGA+U", "state": "optimized geometry", "lattice": [[3.766, 3.853, 0.000], [-7.533, 7.707, 0.000], [0.000, 0.000, 6.424]], "species": ["Li", "Li", "O", "O", "Al", "Li", "O", "Li", "O", "Al", "O", "Li", "Li", "Li", "O", "O", "V", "Li", "O", "O", "V", "Al", "Al", "O", "O", "V", "O", "O", "O", "O", "O", "V"], "frac_coords": [[0.812, 0.406, 0.250], [0.682, 0.159, 0.000], [0.655, 0.351, 0.992], [0.655, 0.851, 0.991], [0.675, 0.663, 0.500], [0.812, 0.906, 0.250], [0.815, 0.598, 0.273], [0.188, 0.094, 0.750], [0.815, 0.098, 0.273], [0.325, 0.837, 0.000], [0.703, 0.828, 0.509], [0.318, 0.841, 0.500], [0.188, 0.594, 0.750], [0.682, 0.659, 0.000], [0.185, 0.402, 0.773], [0.297, 0.172, 0.009], [0.824, 0.912, 0.750], [0.318, 0.341, 0.500], [0.345, 0.149, 0.491], [0.297, 0.672, 0.008], [0.824, 0.412, 0.750], [0.325, 0.337, 0.000], [0.675, 0.163, 0.500], [0.196, 0.407, 0.227], [0.804, 0.093, 0.727], [0.176, 0.588, 0.250], [0.345, 0.649, 0.491], [0.185, 0.902, 0.773], [0.804, 0.593, 0.727], [0.703, 0.328, 0.508], [0.196, 0.907, 0.227], [0.176, 0.088, 0.250]], "m_tot_mub_per_cell": 0.00, "volume_a3_per_atom": 11.7}

=====

Quick look at relative energies in eV/atom: arrangement A 0.007; arrangement B 0.000; arrangement C 0.071.

=====

Arrangement A

{"formula": "Mg6MnAlO8", "functional": "GGA+U", "state": "optimized geometry", "lattice": [[4.324, 0.000, 0.000], [0.000, 4.324, 0.000], [0.000, 0.000, 8.712]], "species": ["Mg", "Mg", "Mg", "Mg", "Mg", "Mg", "Mn", "Al", "O", "O", "O", "O", "O", "O", "O", "O"], "frac_coords": [[0.000, 0.000, 0.000], [0.000, 0.000, 0.500], [0.000, 0.500, 0.248], [0.000, 0.500, 0.752], [0.500, 0.000, 0.248], [0.500, 0.000, 0.752], [0.500, 0.500, 0.500], [0.500, 0.500, 0.000], [0.000, 0.000, 0.248], [0.000, 0.000, 0.752], [0.000, 0.500, 0.000], [0.000, 0.500, 0.500], [0.500, 0.000, 0.000], [0.500, 0.000, 0.500], [0.500, 0.500, 0.216], [0.500, 0.500, 0.784]], "m_tot_mub_per_cell": 4.90, "volume_a3_per_atom": 10.2}

=====

Arrangement B

{"formula": "Mg6MnAlO8", "functional": "GGA+U", "state": "optimized geometry", "lattice": [[4.335, 0.000, 0.000], [0.000, 4.335, 0.000], [0.000, 0.000, 8.585]], "species": ["Mg", "Mg", "Mg", "Mg", "Mg", "Mg", "Mn", "Al", "O", "O", "O", "O", "O", "O", "O", "O"], "frac_coords": [[0.000, 0.000, 0.000], [0.000, 0.500, 0.248], [0.000, 0.500, 0.752], [0.500, 0.000, 0.248], [0.500, 0.000, 0.752], [0.500, 0.500, 0.000], [0.000, 0.000, 0.500], [0.500, 0.500, 0.500], [0.000, 0.000, 0.240], [0.000, 0.000, 0.760], [0.000, 0.500, 0.000], [0.000, 0.500, 0.500], [0.500, 0.000, 0.000], [0.500, 0.000, 0.500], [0.500, 0.500, 0.258], [0.500, 0.500, 0.742]], "m_tot_mub_per_cell": 4.89, "volume_a3_per_atom": 10.1}

=====

Quick look at relative energies in eV/atom: arrangement A 0.000; arrangement B 0.013.